(1)
ErAu3 | the Materials Project database | PBE-GGA | relaxed; energy of formation from the pure elements = -0.7229 eV per atom; space-group type = No. 59; E = -34.56 eV/cell
1.0
5.039 0.000 0.000
0.000 6.115 0.000
0.000 0.000 5.163
Er Au
2 6
Direct
0.250 0.250 0.155
0.750 0.750 0.845
0.250 0.503 0.657
0.250 0.750 0.158
0.250 0.997 0.657
0.750 0.003 0.343
0.750 0.250 0.842
0.750 0.497 0.343



(2)
YTaO4 | the Materials Project database | PBE-GGA | relaxed; energy of formation from the pure elements = -3.7166 eV per atom; space-group type = No. 13; E = -115.34 eV/cell
1.0
5.162 0.000 0.000
0.000 5.543 0.000
-0.608 0.000 5.316
Y Ta O
2 2 8
Direct
0.000 0.232 0.250
0.000 0.768 0.750
0.500 0.308 0.750
0.500 0.692 0.250
0.250 0.088 0.601
0.250 0.912 0.101
0.270 0.434 0.997
0.270 0.566 0.497
0.730 0.434 0.503
0.730 0.566 0.003
0.750 0.088 0.899
0.750 0.912 0.399



(3)
GeN2F6 | the Materials Project database | PBE-GGA | relaxed; distance to the lowest polymorph of the same formula = 7 meV per atom; energy of formation from the pure elements = -0.3964 eV per atom; space-group type = No. 186; E = -67.16 eV/cell
1.0
5.262 0.000 0.000
-2.631 4.557 0.000
0.000 0.000 9.501
Ge N F
2 4 12
Direct
0.333 0.667 0.000
0.667 0.333 0.500
0.000 0.000 0.341
0.000 0.000 0.841
0.333 0.667 0.615
0.667 0.333 0.115
0.010 0.505 0.885
0.170 0.340 0.110
0.170 0.830 0.110
0.340 0.170 0.610
0.495 0.505 0.885
0.495 0.990 0.885
0.505 0.010 0.385
0.505 0.495 0.385
0.660 0.830 0.110
0.830 0.170 0.610
0.830 0.660 0.610
0.990 0.495 0.385



(4)
KSbO3 | the Materials Project database | PBE-GGA | relaxed; energy of formation from the pure elements = -2.0533 eV per atom; space-group type = No. 148; E = -56.58 eV/cell
1.0
2.738 1.581 6.212
-2.738 1.581 6.212
0.000 -3.161 6.212
K Sb O
2 2 6
Direct
0.139 0.139 0.139
0.861 0.861 0.861
0.336 0.336 0.336
0.664 0.664 0.664
0.057 0.465 0.664
0.336 0.943 0.535
0.465 0.664 0.057
0.535 0.336 0.943
0.664 0.057 0.465
0.943 0.535 0.336



(5)
NdDyMg2 | the Materials Project database | PBE-GGA | relaxed; energy of formation from the pure elements = -0.0951 eV per atom; space-group type = No. 225; E = -12.96 eV/cell
1.0
0.000 3.835 3.835
3.835 0.000 3.835
3.835 3.835 0.000
Nd Dy Mg
1 1 2
Direct
0.000 0.000 0.000
0.500 0.500 0.500
0.250 0.250 0.250
0.750 0.750 0.750



(6)
Ag3HSN3O2 | the Materials Project database | PBE-GGA | relaxed; energy of formation from the pure elements = 0.2755 eV per atom; space-group type = No. 57; E = -187.21 eV/cell
1.0
9.028 0.000 0.000
0.000 11.375 0.000
0.000 0.000 7.102
Ag H S N O
12 4 4 12 8
Direct
0.050 0.120 0.009
0.050 0.120 0.491
0.050 0.380 0.509
0.050 0.380 0.991
0.277 0.249 0.250
0.277 0.251 0.750
0.723 0.749 0.250
0.723 0.751 0.750
0.950 0.620 0.009
0.950 0.620 0.491
0.950 0.880 0.509
0.950 0.880 0.991
0.137 0.720 0.250
0.137 0.780 0.750
0.863 0.220 0.250
0.863 0.280 0.750
0.238 0.544 0.250
0.238 0.956 0.750
0.762 0.044 0.250
0.762 0.456 0.750
0.087 0.638 0.250
0.087 0.862 0.750
0.161 0.085 0.750
0.161 0.415 0.250
0.352 0.082 0.250
0.352 0.418 0.750
0.648 0.582 0.250
0.648 0.918 0.750
0.839 0.585 0.750
0.839 0.915 0.250
0.913 0.138 0.250
0.913 0.362 0.750
0.314 0.567 0.075
0.314 0.567 0.425
0.314 0.933 0.575
0.314 0.933 0.925
0.686 0.067 0.075
0.686 0.067 0.425
0.686 0.433 0.575
0.686 0.433 0.925



Question: What is the formula in the second record?
Answer: YTaO4